Record 1
# Sm2Mn2Ga2Fe13C | Materials Project | PBE-GGA | optimized geometry
data_Sm2Mn2Ga2Fe13C
_space_group_name_H-M_alt 'P 1'
_space_group_IT_number 1
_cell_length_a 6.4706
_cell_length_b 6.4706
_cell_length_c 6.4839
_cell_angle_alpha 96.93
_cell_angle_beta 96.93
_cell_angle_gamma 83.00
loop_
_space_group_symop_operation_xyz
'x,y,z'
loop_
_atom_site_label
_atom_site_type_symbol
_atom_site_fract_x
_atom_site_fract_y
_atom_site_fract_z
_atom_site_occupancy
Sm1 Sm 0.1570 0.1570 0.3553 1
Sm2 Sm 0.8430 0.8430 0.6447 1
Mn1 Mn 0.0000 0.5000 0.0000 1
Mn2 Mn 0.5000 0.0000 0.0000 1
Ga1 Ga 0.3964 0.3964 0.1024 1
Ga2 Ga 0.6036 0.6036 0.8976 1
Fe1 Fe 0.1558 0.1558 0.8498 1
Fe2 Fe 0.1590 0.6548 0.3429 1
Fe3 Fe 0.2077 0.5005 0.7094 1
Fe4 Fe 0.2139 0.7861 0.0000 1
Fe5 Fe 0.3452 0.8410 0.6571 1
Fe6 Fe 0.5005 0.2077 0.7094 1
Fe7 Fe 0.5000 0.5000 0.5000 1
Fe8 Fe 0.4995 0.7923 0.2906 1
Fe9 Fe 0.6548 0.1590 0.3429 1
Fe10 Fe 0.7861 0.2139 0.0000 1
Fe11 Fe 0.7923 0.4995 0.2906 1
Fe12 Fe 0.8410 0.3452 0.6571 1
Fe13 Fe 0.8442 0.8442 0.1502 1
C1 C 0.0000 0.0000 0.0000 1
# - Magnetic moment: 27.349 μB/f.u.

Record 2
# K3Ta | Materials Project | PBE-GGA | optimized geometry
data_K3Ta
_space_group_name_H-M_alt 'P 1'
_space_group_IT_number 1
_cell_length_a 6.3750
_cell_length_b 6.3750
_cell_length_c 6.3750
_cell_angle_alpha 60.00
_cell_angle_beta 60.00
_cell_angle_gamma 60.00
loop_
_space_group_symop_operation_xyz
'x,y,z'
loop_
_atom_site_label
_atom_site_type_symbol
_atom_site_fract_x
_atom_site_fract_y
_atom_site_fract_z
_atom_site_occupancy
K1 K 0.0000 0.0000 0.0000 1
K2 K 0.2500 0.2500 0.2500 1
K3 K 0.7500 0.7500 0.7500 1
Ta1 Ta 0.5000 0.5000 0.5000 1
# - Magnetic moment: 5.253 μB/f.u.

Record 3
# P2Pb3O8 | Materials Project | PBE-GGA | optimized geometry
data_P2Pb3O8
_space_group_name_H-M_alt 'P 1'
_space_group_IT_number 1
_cell_length_a 7.1428
_cell_length_b 7.1428
_cell_length_c 9.0265
_cell_angle_alpha 108.03
_cell_angle_beta 108.03
_cell_angle_gamma 77.01
loop_
_space_group_symop_operation_xyz
'x,y,z'
loop_
_atom_site_label
_atom_site_type_symbol
_atom_site_fract_x
_atom_site_fract_y
_atom_site_fract_z
_atom_site_occupancy
P1 P 0.0091 0.4148 0.1985 1
P2 P 0.4148 0.0091 0.6985 1
P3 P 0.5853 0.9909 0.3015 1
P4 P 0.9909 0.5853 0.8015 1
Pb1 Pb 0.0866 0.9134 0.2500 1
Pb2 Pb 0.3045 0.3965 0.5602 1
Pb3 Pb 0.3965 0.3045 0.0602 1
Pb4 Pb 0.6035 0.6955 0.9398 1
Pb5 Pb 0.6955 0.6035 0.4398 1
Pb6 Pb 0.9134 0.0866 0.7500 1
O1 O 0.0150 0.3290 0.3409 1
O2 O 0.0749 0.2412 0.0607 1
O3 O 0.1639 0.5640 0.2623 1
O4 O 0.2062 0.4837 0.8573 1
O5 O 0.2412 0.0749 0.5607 1
O6 O 0.3290 0.0150 0.8409 1
O7 O 0.4360 0.8361 0.2377 1
O8 O 0.4837 0.2062 0.3573 1
O9 O 0.5163 0.7938 0.6427 1
O10 O 0.5640 0.1639 0.7623 1
O11 O 0.6710 0.9850 0.1591 1
O12 O 0.7588 0.9251 0.4393 1
O13 O 0.7938 0.5163 0.1427 1
O14 O 0.8361 0.4360 0.7377 1
O15 O 0.9251 0.7588 0.9393 1
O16 O 0.9850 0.6710 0.6591 1
# - Total energy after the MP2020 corrections: -7.0698 eV/atom

Record 4
# RbDyO3 | Materials Project | PBE-GGA | optimized geometry
data_RbDyO3
_space_group_name_H-M_alt 'P 1'
_space_group_IT_number 1
_cell_length_a 4.5191
_cell_length_b 4.5191
_cell_length_c 4.5191
_cell_angle_alpha 90.00
_cell_angle_beta 90.00
_cell_angle_gamma 90.00
loop_
_space_group_symop_operation_xyz
'x,y,z'
loop_
_atom_site_label
_atom_site_type_symbol
_atom_site_fract_x
_atom_site_fract_y
_atom_site_fract_z
_atom_site_occupancy
Rb1 Rb 0.0000 0.0000 0.0000 1
Dy1 Dy 0.5000 0.5000 0.5000 1
O1 O 0.0000 0.5000 0.5000 1
O2 O 0.5000 0.0000 0.5000 1
O3 O 0.5000 0.5000 0.0000 1
# - Magnetic moment: 1.996 μB/f.u.
# - Total energy after the MP2020 corrections: -6.3741 eV/atom

Record 5
Ba3P2: optimized geometry, PBE-GGA.

Cell and atoms, written as CIF:
```
data_Ba3P2
_space_group_name_H-M_alt 'P 1'
_space_group_IT_number 1
_cell_length_a 16.4078
_cell_length_b 16.4078
_cell_length_c 16.4078
_cell_angle_alpha 144.87
_cell_angle_beta 144.87
_cell_angle_gamma 50.53
loop_
_space_group_symop_operation_xyz
'x,y,z'
loop_
_atom_site_label
_atom_site_type_symbol
_atom_site_fract_x
_atom_site_fract_y
_atom_site_fract_z
_atom_site_occupancy
Ba1 Ba 0.0739 0.4490 0.2433 1
Ba2 Ba 0.1694 0.9261 0.3752 1
Ba3 Ba 0.1852 0.4358 0.5826 1
Ba4 Ba 0.1858 0.4352 0.0826 1
Ba5 Ba 0.1990 0.3239 0.7433 1
Ba6 Ba 0.2058 0.8306 0.7567 1
Ba7 Ba 0.2542 0.1221 0.2480 1
Ba8 Ba 0.3526 0.1032 0.9174 1
Ba9 Ba 0.3974 0.8148 0.2506 1
Ba10 Ba 0.4958 0.2438 0.3679 1
Ba11 Ba 0.5442 0.8010 0.1248 1
Ba12 Ba 0.5510 0.7942 0.6248 1
Ba13 Ba 0.5642 0.1468 0.7494 1
Ba14 Ba 0.5648 0.6474 0.7506 1
Ba15 Ba 0.5806 0.4558 0.2567 1
Ba16 Ba 0.6761 0.4194 0.8752 1
Ba17 Ba 0.7562 0.1241 0.2520 1
Ba18 Ba 0.8532 0.6026 0.4174 1
Ba19 Ba 0.8721 0.5042 0.7480 1
Ba20 Ba 0.8741 0.0062 0.7520 1
Ba21 Ba 0.8759 0.1279 0.6321 1
Ba22 Ba 0.8779 0.1259 0.1321 1
Ba23 Ba 0.8968 0.8142 0.2494 1
Ba24 Ba 0.9938 0.7458 0.8679 1
P1 P 0.0494 0.1500 0.6229 1
P2 P 0.1653 0.1653 0.0000 1
P3 P 0.1764 0.7770 0.8771 1
P4 P 0.2230 0.1000 0.3994 1
P5 P 0.2539 0.6250 0.1289 1
P6 P 0.3750 0.5039 0.6289 1
P7 P 0.4961 0.1250 0.8711 1
P8 P 0.5270 0.4264 0.3771 1
P9 P 0.5736 0.9506 0.1006 1
P10 P 0.5847 0.0847 0.5000 1
P11 P 0.7006 0.8236 0.6006 1
P12 P 0.8347 0.8347 0.0000 1
P13 P 0.8500 0.4730 0.8994 1
P14 P 0.8750 0.7461 0.3711 1
P15 P 0.9000 0.2994 0.1229 1
P16 P 0.9153 0.4153 0.5000 1
```

Record 6
# BaLa3 | Materials Project | PBE-GGA | optimized geometry
data_BaLa3
_space_group_name_H-M_alt 'P 1'
_space_group_IT_number 1
_cell_length_a 7.9437
_cell_length_b 7.9437
_cell_length_c 6.1816
_cell_angle_alpha 90.00
_cell_angle_beta 90.00
_cell_angle_gamma 120.00
loop_
_space_group_symop_operation_xyz
'x,y,z'
loop_
_atom_site_label
_atom_site_type_symbol
_atom_site_fract_x
_atom_site_fract_y
_atom_site_fract_z
_atom_site_occupancy
Ba1 Ba 0.3333 0.6667 0.2500 1
Ba2 Ba 0.6667 0.3333 0.7500 1
La1 La 0.1561 0.3122 0.7500 1
La2 La 0.1561 0.8439 0.7500 1
La3 La 0.3122 0.1561 0.2500 1
La4 La 0.6878 0.8439 0.7500 1
La5 La 0.8439 0.1561 0.2500 1
La6 La 0.8439 0.6878 0.2500 1
# - Magnetic moment: 0.009 μB/f.u.

Record 7
# Dy2Pb2O7 | Materials Project | PBE-GGA | optimized geometry
data_Dy2Pb2O7
_space_group_name_H-M_alt 'P 1'
_space_group_IT_number 1
_cell_length_a 7.6203
_cell_length_b 7.6203
_cell_length_c 7.6203
_cell_angle_alpha 60.00
_cell_angle_beta 60.00
_cell_angle_gamma 60.00
loop_
_space_group_symop_operation_xyz
'x,y,z'
loop_
_atom_site_label
_atom_site_type_symbol
_atom_site_fract_x
_atom_site_fract_y
_atom_site_fract_z
_atom_site_occupancy
Dy1 Dy 0.0000 0.0000 0.0000 1
Dy2 Dy 0.0000 0.0000 0.5000 1
Dy3 Dy 0.0000 0.5000 0.0000 1
Dy4 Dy 0.5000 0.0000 0.0000 1
Pb1 Pb 0.0000 0.5000 0.5000 1
Pb2 Pb 0.5000 0.0000 0.5000 1
Pb3 Pb 0.5000 0.5000 0.0000 1
Pb4 Pb 0.5000 0.5000 0.5000 1
O1 O 0.1250 0.1250 0.1250 1
O2 O 0.1502 0.1502 0.5998 1
O3 O 0.1502 0.5998 0.1502 1
O4 O 0.1502 0.5998 0.5998 1
O5 O 0.4002 0.4002 0.8498 1
O6 O 0.4002 0.8498 0.4002 1
O7 O 0.4002 0.8498 0.8498 1
O8 O 0.5998 0.1502 0.1502 1
O9 O 0.5998 0.1502 0.5998 1
O10 O 0.5998 0.5998 0.1502 1
O11 O 0.8498 0.4002 0.4002 1
O12 O 0.8498 0.4002 0.8498 1
O13 O 0.8498 0.8498 0.4002 1
O14 O 0.8750 0.8750 0.8750 1
# - Total energy after the MP2020 corrections: -7.2122 eV/atom

Record 8
# KAlH2CO5 | Materials Project | PBE-GGA | optimized geometry
data_KAlH2CO5
_space_group_name_H-M_alt 'P 1'
_space_group_IT_number 1
_cell_length_a 6.8149
_cell_length_b 6.8149
_cell_length_c 5.7220
_cell_angle_alpha 90.00
_cell_angle_beta 90.00
_cell_angle_gamma 123.41
loop_
_space_group_symop_operation_xyz
'x,y,z'
loop_
_atom_site_label
_atom_site_type_symbol
_atom_site_fract_x
_atom_site_fract_y
_atom_site_fract_z
_atom_site_occupancy
K1 K 0.1533 0.8467 0.7500 1
K2 K 0.8467 0.1533 0.2500 1
Al1 Al 0.5000 0.5000 0.0000 1
Al2 Al 0.5000 0.5000 0.5000 1
H1 H 0.1359 0.3019 0.7500 1
H2 H 0.3019 0.1359 0.2500 1
H3 H 0.6981 0.8641 0.7500 1
H4 H 0.8641 0.6981 0.2500 1
C1 C 0.2878 0.7122 0.2500 1
C2 C 0.7122 0.2878 0.7500 1
O1 O 0.1811 0.8189 0.2500 1
O2 O 0.2891 0.3187 0.7500 1
O3 O 0.3187 0.2891 0.2500 1
O4 O 0.3416 0.6584 0.0516 1
O5 O 0.3416 0.6584 0.4484 1
O6 O 0.6584 0.3416 0.5516 1
O7 O 0.6584 0.3416 0.9484 1
O8 O 0.6813 0.7109 0.7500 1
O9 O 0.7109 0.6813 0.2500 1
O10 O 0.8189 0.1811 0.7500 1
# - Magnetic moment: 0.001 μB/f.u.
# - Total energy after the MP2020 corrections: -6.7606 eV/atom

Record 9
# Ga40SnMo8 | Materials Project | PBE-GGA | optimized geometry
data_Ga40SnMo8
_space_group_name_H-M_alt 'P 1'
_space_group_IT_number 1
_cell_length_a 9.6187
_cell_length_b 9.6187
_cell_length_c 9.6187
_cell_angle_alpha 93.98
_cell_angle_beta 93.98
_cell_angle_gamma 93.98
loop_
_space_group_symop_operation_xyz
'x,y,z'
loop_
_atom_site_label
_atom_site_type_symbol
_atom_site_fract_x
_atom_site_fract_y
_atom_site_fract_z
_atom_site_occupancy
Ga1 Ga 0.0000 0.0000 0.0000 1
Ga2 Ga 0.0000 0.0000 0.5000 1
Ga3 Ga 0.0000 0.5000 0.0000 1
Ga4 Ga 0.0317 0.1739 0.2784 1
Ga5 Ga 0.0523 0.7221 0.4246 1
Ga6 Ga 0.0980 0.4656 0.2849 1
Ga7 Ga 0.1105 0.7663 0.1341 1
Ga8 Ga 0.1341 0.1105 0.7663 1
Ga9 Ga 0.1739 0.2784 0.0317 1
Ga10 Ga 0.1829 0.6242 0.6741 1
Ga11 Ga 0.2337 0.8659 0.8895 1
Ga12 Ga 0.2349 0.3685 0.5495 1
Ga13 Ga 0.2784 0.0317 0.1739 1
Ga14 Ga 0.2779 0.5754 0.9477 1
Ga15 Ga 0.2849 0.0980 0.4656 1
Ga16 Ga 0.3259 0.8171 0.3758 1
Ga17 Ga 0.3685 0.5495 0.2349 1
Ga18 Ga 0.3758 0.3259 0.8171 1
Ga19 Ga 0.4246 0.0523 0.7221 1
Ga20 Ga 0.4505 0.7651 0.6315 1
Ga21 Ga 0.4656 0.2849 0.0980 1
Ga22 Ga 0.5000 0.0000 0.0000 1
Ga23 Ga 0.5344 0.7151 0.9020 1
Ga24 Ga 0.5495 0.2349 0.3685 1
Ga25 Ga 0.5754 0.9477 0.2779 1
Ga26 Ga 0.6242 0.6741 0.1829 1
Ga27 Ga 0.6315 0.4505 0.7651 1
Ga28 Ga 0.6741 0.1829 0.6242 1
Ga29 Ga 0.7151 0.9020 0.5344 1
Ga30 Ga 0.7221 0.4246 0.0523 1
Ga31 Ga 0.7216 0.9683 0.8261 1
Ga32 Ga 0.7651 0.6315 0.4505 1
Ga33 Ga 0.7663 0.1341 0.1105 1
Ga34 Ga 0.8171 0.3758 0.3259 1
Ga35 Ga 0.8261 0.7216 0.9683 1
Ga36 Ga 0.8659 0.8895 0.2337 1
Ga37 Ga 0.8895 0.2337 0.8659 1
Ga38 Ga 0.9020 0.5344 0.7151 1
Ga39 Ga 0.9477 0.2779 0.5754 1
Ga40 Ga 0.9683 0.8261 0.7216 1
Sn1 Sn 0.5000 0.5000 0.5000 1
Mo1 Mo 0.1123 0.3887 0.7884 1
Mo2 Mo 0.2116 0.8877 0.6113 1
Mo3 Mo 0.2868 0.2868 0.2868 1
Mo4 Mo 0.3887 0.7884 0.1123 1
Mo5 Mo 0.6113 0.2116 0.8877 1
Mo6 Mo 0.7132 0.7132 0.7132 1
Mo7 Mo 0.7884 0.1123 0.3887 1
Mo8 Mo 0.8877 0.6113 0.2116 1
# - Magnetic moment: 0.001 μB/f.u.

Record 10
EuP3: optimized geometry, PBE-GGA.

Cell and atoms, written as CIF:
```
data_EuP3
_space_group_name_H-M_alt 'P 1'
_space_group_IT_number 1
_cell_length_a 6.6972
_cell_length_b 6.6972
_cell_length_c 8.3299
_cell_angle_alpha 101.29
_cell_angle_beta 101.29
_cell_angle_gamma 66.47
loop_
_space_group_symop_operation_xyz
'x,y,z'
loop_
_atom_site_label
_atom_site_type_symbol
_atom_site_fract_x
_atom_site_fract_y
_atom_site_fract_z
_atom_site_occupancy
Eu1 Eu 0.0426 0.0426 0.2421 1
Eu2 Eu 0.2928 0.2928 0.7271 1
Eu3 Eu 0.7072 0.7072 0.2729 1
Eu4 Eu 0.9574 0.9574 0.7579 1
P1 P 0.0927 0.6096 0.0098 1
P2 P 0.1578 0.6408 0.4779 1
P3 P 0.3213 0.3213 0.3377 1
P4 P 0.3592 0.8422 0.5221 1
P5 P 0.3904 0.9073 0.9902 1
P6 P 0.4234 0.4234 0.1331 1
P7 P 0.5766 0.5766 0.8669 1
P8 P 0.6096 0.0927 0.0098 1
P9 P 0.6408 0.1578 0.4779 1
P10 P 0.6787 0.6787 0.6623 1
P11 P 0.8422 0.3592 0.5221 1
P12 P 0.9073 0.3904 0.9902 1
```

Number 1: total DFT energy (no corrections) -153.6 eV for the cell shown, energy of formation -0.022 eV/atom. Number 2: total DFT energy (no corrections) -9.5 eV for the cell shown, energy of formation 1.411 eV/atom. Number 3: total DFT energy (no corrections) -172.8 eV for the cell shown, energy of formation -2.335 eV/atom. Number 4: total DFT energy (no corrections) -29.8 eV for the cell shown, energy of formation -2.288 eV/atom. Number 5: total DFT energy (no corrections) -171.9 eV for the cell shown, energy of formation -0.982 eV/atom. Number 6: total DFT energy (no corrections) -32.1 eV for the cell shown, energy of formation 0.171 eV/atom. Number 7: total DFT energy (no corrections) -149.1 eV for the cell shown, energy of formation -2.551 eV/atom. Number 8: total DFT energy (no corrections) -128.3 eV for the cell shown, energy of formation -2.200 eV/atom. Number 9: total DFT energy (no corrections) -218.6 eV for the cell shown, energy of formation -0.136 eV/atom. Number 10: total DFT energy (no corrections) -116.8 eV for the cell shown, energy of formation -0.676 eV/atom.